A plane-wave DFT calculation with GGA-PBE was carried out for Na6Ca8Nb4Si3S15O72 after structural relaxation.

## Properties
Total magnetization (μB/atom): 0.00
Calculated formation energy (eV per atom): -2.461
Theoretical density (g/cm3): 2.47

Cell lengths 9.114, 9.107, 23.765 Å; angles 89.91, 90.06, 119.85 degrees
Sites, in units of the cell vectors:
Na (0.988, 0.985, 0.492)
Na (0.004, 0.016, 0.998)
Na (0.664, 0.330, 0.830)
Na (0.668, 0.336, 0.332)
Na (0.333, 0.661, 0.170)
Na (0.338, 0.672, 0.659)
Ca (0.996, 0.998, 0.352)
Ca (0.998, 0.002, 0.851)
Ca (0.998, 0.998, 0.644)
Ca (0.000, 0.001, 0.152)
Ca (0.666, 0.331, 0.683)
Ca (0.667, 0.335, 0.189)
Ca (0.333, 0.664, 0.019)
Ca (0.336, 0.669, 0.519)
Nb (0.675, 0.335, 0.981)
Nb (0.674, 0.333, 0.476)
Nb (0.331, 0.675, 0.322)
Nb (0.321, 0.657, 0.816)
Si (0.038, 0.369, 0.920)
Si (0.628, 0.962, 0.420)
Si (0.039, 0.670, 0.421)
S (0.298, 0.991, 0.252)
S (0.691, 0.701, 0.252)
S (0.011, 0.309, 0.252)
S (0.299, 0.304, 0.753)
S (0.005, 0.702, 0.753)
S (0.693, 0.992, 0.753)
S (0.954, 0.332, 0.581)
S (0.378, 0.046, 0.582)
S (0.667, 0.620, 0.582)
S (0.955, 0.624, 0.082)
S (0.669, 0.046, 0.082)
S (0.379, 0.331, 0.081)
S (0.621, 0.658, 0.917)
S (0.341, 0.962, 0.917)
S (0.341, 0.379, 0.417)
O (0.219, 0.014, 0.302)
O (0.797, 0.782, 0.301)
O (0.988, 0.205, 0.301)
O (0.219, 0.203, 0.802)
O (0.986, 0.781, 0.803)
O (0.797, 0.014, 0.802)
O (0.760, 0.959, 0.701)
O (0.198, 0.240, 0.701)
O (0.038, 0.802, 0.701)
O (0.763, 0.800, 0.199)
O (0.035, 0.234, 0.200)
O (0.199, 0.963, 0.200)
O (0.874, 0.348, 0.633)
O (0.472, 0.125, 0.634)
O (0.655, 0.528, 0.634)
O (0.873, 0.524, 0.132)
O (0.652, 0.128, 0.132)
O (0.475, 0.345, 0.132)
O (0.479, 0.321, 0.030)
O (0.842, 0.522, 0.029)
O (0.681, 0.159, 0.029)
O (0.475, 0.155, 0.531)
O (0.678, 0.523, 0.531)
O (0.843, 0.320, 0.530)
O (0.550, 0.686, 0.967)
O (0.145, 0.464, 0.973)
O (0.321, 0.866, 0.968)
O (0.544, 0.851, 0.473)
O (0.316, 0.451, 0.468)
O (0.143, 0.680, 0.474)
O (0.139, 0.636, 0.362)
O (0.494, 0.859, 0.363)
O (0.368, 0.493, 0.366)
O (0.143, 0.504, 0.862)
O (0.367, 0.877, 0.866)
O (0.510, 0.634, 0.866)
O (0.007, 0.822, 0.410)
O (0.817, 0.008, 0.409)
O (0.200, 0.210, 0.407)
O (0.999, 0.182, 0.911)
O (0.195, 0.985, 0.908)
O (0.792, 0.798, 0.908)
O (0.961, 0.173, 0.581)
O (0.211, 0.037, 0.582)
O (0.824, 0.788, 0.582)
O (0.960, 0.787, 0.080)
O (0.826, 0.039, 0.080)
O (0.212, 0.175, 0.080)
O (0.666, 0.138, 0.748)
O (0.473, 0.335, 0.748)
O (0.864, 0.527, 0.748)
O (0.668, 0.529, 0.247)
O (0.863, 0.334, 0.246)
O (0.472, 0.136, 0.247)
O (0.629, 0.495, 0.923)
O (0.843, 0.362, 0.929)
O (0.500, 0.136, 0.922)
O (0.630, 0.151, 0.428)
O (0.503, 0.370, 0.422)
O (0.846, 0.487, 0.428)
O (0.365, 0.484, 0.076)
O (0.122, 0.642, 0.076)
O (0.519, 0.881, 0.075)
O (0.359, 0.877, 0.579)
O (0.515, 0.636, 0.579)
O (0.122, 0.480, 0.577)
O (0.313, 0.830, 0.259)
O (0.516, 0.683, 0.259)
O (0.170, 0.482, 0.259)
O (0.317, 0.484, 0.763)
O (0.170, 0.688, 0.762)
O (0.517, 0.833, 0.764)